# GGA-PBE Cu3BO5, relaxed
# calculated formation energy = -1.4249 eV/atom
# polymorph energy (0 for the lowest one) = 0.00 eV per formula unit
data_Cu3BO5
_chemical_formula_sum 'Cu12 B4 O20'
_cell_length_a 3.3108
_cell_length_b 9.3922
_cell_length_c 11.9956
_cell_angle_alpha 90.00
_cell_angle_beta 94.50
_cell_angle_gamma 90.00
_symmetry_space_group_name_H-M 'P 1 21/c 1'
_symmetry_Int_Tables_number 14
loop_
_symmetry_equiv_pos_as_xyz
'x,y,z'
'-x,-y,-z'
'-x,y+1/2,-z+1/2'
'x,-y+1/2,z+1/2'
loop_
_atom_site_label
_atom_site_fract_x
_atom_site_fract_y
_atom_site_fract_z
_atom_site_occupancy
Cu1 0.0000 0.0000 0.0000 1
Cu2 0.0675 0.0141 0.2749 1
Cu3 0.4191 0.7358 0.6230 1
Cu4 0.5000 0.0000 0.5000 1
B1 0.3680 0.7337 0.3692 1
O1 0.0225 0.5905 0.6436 1
O2 0.1806 0.1237 0.4090 1
O3 0.3318 0.6634 0.2673 1
O4 0.3503 0.6585 0.4670 1
O5 0.4416 0.6205 0.8681 1